First-principles (r²SCAN) data for Tl5Se2Cl after structural relaxation, as listed in the Materials Project database.

extended XYZ file:
```
32
Lattice="-8.001 -2.458 -2.314 3.013 -2.511 -7.748 2.280 -11.879 4.735" Properties=species:S:1:pos:R:3 pbc="T T T"
Tl 0.418 -9.763 -3.147
Tl -2.680 -11.420 -5.814
Tl 0.448 -7.913 1.478
Tl -2.408 -14.872 -4.244
Tl 1.502 -11.369 2.661
Tl -2.649 -9.571 -1.189
Tl -2.164 -13.201 -0.170
Tl 1.258 -13.040 -1.413
Tl 1.540 -3.834 -6.631
Tl -6.052 -3.620 -2.441
Tl -5.566 -7.251 -1.421
Tl -1.717 -2.994 -2.957
Tl -2.795 -4.460 -6.114
Tl -0.663 -6.450 -1.773
Tl -2.523 -7.912 -4.545
Tl 2.380 -7.111 -4.897
Tl -2.188 -10.674 2.608
Tl 3.113 -9.629 -0.536
Tl 1.973 -3.689 -2.904
Tl -3.328 -4.735 0.240
Se -3.689 -5.446 -2.977
Se -0.229 -3.766 -0.428
Se -3.619 -7.142 -7.267
Se -0.160 -5.462 -4.718
Se 2.958 -11.411 -3.326
Se -1.584 -12.190 -3.092
Se 0.015 -10.598 0.132
Se -4.527 -11.376 0.367
Cl -2.757 -7.710 1.427
Cl 3.682 -12.593 0.645
Cl 2.542 -6.653 -1.722
Cl -3.896 -1.771 -0.941
```

total DFT energy (no corrections) = -38.205 eV per atom



First-principles (r²SCAN) data for ZrSe2Cl12 after structural relaxation, as listed in the Materials Project database.

extended XYZ file:
```
30
Lattice="0.148 8.217 9.748 -2.311 12.097 2.191 -7.949 0.770 3.785" Properties=species:S:1:pos:R:3 pbc="T T T"
Zr -3.258 2.809 2.903
Zr -2.892 17.851 10.911
Se -4.022 10.352 4.985
Se -6.670 15.676 8.872
Se -1.058 13.457 10.209
Se -6.601 9.013 10.022
Cl -5.407 1.623 2.690
Cl -7.813 8.169 8.427
Cl -1.656 14.343 8.315
Cl -0.849 8.128 8.002
Cl -8.735 18.579 13.383
Cl -3.687 8.235 5.342
Cl -6.948 11.112 9.538
Cl -5.177 13.892 7.326
Cl -6.107 14.663 10.712
Cl -2.490 15.526 11.620
Cl -3.485 12.090 10.441
Cl -2.005 0.966 1.853
Cl -1.837 10.422 3.202
Cl -7.308 7.128 4.556
Cl -2.831 11.098 6.656
Cl -4.983 17.945 12.245
Cl -4.190 17.150 8.939
Cl -4.442 4.664 4.078
Cl -8.098 12.434 13.169
Cl -5.985 10.467 5.912
Cl -5.366 5.305 7.559
Cl -1.136 4.114 3.047
Cl -4.673 8.771 9.043
Cl -8.455 14.507 8.463
```

total DFT energy (no corrections) = -9.259 eV per atom



The evaluated total magnetic moment for the records listed, in turn: 0.00, 0.00 μB/f.u..